# 1
Sr5ZnCd4 r²SCAN optimized geometry; formation energy = -0.29 eV per atom; volume = 32.16 Å³/atom; calculated density = 4.9 Mg/m³; total DFT energy (no corrections) = -16.79 eV per atom
1.0
-0.902 2.805 -2.666
-3.017 1.204 2.288
12.424 13.040 9.518
Sr Zn Cd
5 1 4
direct
0.500 0.500 0.095
0.500 0.500 0.298
0.500 0.500 0.500
0.500 0.500 0.702
0.500 0.500 0.905
0.000 0.000 0.000
0.000 0.000 0.197
0.000 0.000 0.399
0.000 0.000 0.601
0.000 0.000 0.803


# 2
TbCd r²SCAN optimized geometry; formation energy = -0.38 eV per atom; volume = 26.19 Å³/atom; calculated density = 8.6 Mg/m³; total DFT energy (no corrections) = -26.05 eV per atom
1.0
3.741 0.000 0.000
0.000 3.741 0.000
0.000 0.000 3.741
Tb Cd
1 1
direct
0.500 0.500 0.500
0.000 0.000 0.000


# 3
ThCd3 r²SCAN optimized geometry; formation energy = -0.19 eV per atom; volume = 24.90 Å³/atom; calculated density = 9.5 Mg/m³; total DFT energy (no corrections) = -33.64 eV per atom
1.0
-3.560 -3.365 -0.524
3.626 -3.072 -4.914
0.805 -1.867 6.526
Th Cd
2 6
direct
0.250 0.667 0.333
0.750 0.333 0.667
0.750 0.846 0.155
0.250 0.154 0.845
0.750 0.310 0.155
0.250 0.690 0.845
0.750 0.845 0.690
0.250 0.155 0.310


# 4
Th6Cd23 r²SCAN optimized geometry; formation energy = -0.15 eV per atom; volume = 23.83 Å³/atom; calculated density = 9.6 Mg/m³; total DFT energy (no corrections) = -31.30 eV per atom
1.0
0.000 7.017 7.017
7.017 0.000 7.017
7.017 7.017 0.000
Th Cd
6 23
direct
0.693 0.693 0.307
0.307 0.693 0.307
0.693 0.307 0.307
0.307 0.307 0.693
0.693 0.307 0.693
0.307 0.693 0.693
0.000 0.000 0.000
0.000 0.000 0.500
0.500 0.000 0.500
0.000 0.500 0.500
0.500 0.500 0.000
0.000 0.500 0.000
0.500 0.000 0.000
0.880 0.880 0.361
0.880 0.361 0.880
0.361 0.880 0.880
0.880 0.880 0.880
0.120 0.120 0.639
0.120 0.639 0.120
0.639 0.120 0.120
0.120 0.120 0.120
0.668 0.668 0.996
0.668 0.996 0.668
0.996 0.668 0.668
0.668 0.668 0.668
0.332 0.332 0.004
0.332 0.004 0.332
0.004 0.332 0.332
0.332 0.332 0.332


# 5
TiCd r²SCAN optimized geometry; formation energy = -0.07 eV per atom; volume = 18.80 Å³/atom; calculated density = 7.1 Mg/m³; total DFT energy (no corrections) = -16.59 eV per atom
1.0
2.888 0.000 0.000
0.000 2.888 0.000
0.000 0.000 9.014
Ti Cd
2 2
direct
0.750 0.750 0.391
0.250 0.250 0.609
0.750 0.750 0.867
0.250 0.250 0.133


# 6
Tl3Cd r²SCAN optimized geometry; formation energy = 0.07 eV per atom; volume = 28.27 Å³/atom; calculated density = 10.7 Mg/m³; total DFT energy (no corrections) = -44.84 eV per atom
1.0
0.736 1.108 5.827
-1.887 5.501 1.382
-2.524 -4.524 -2.981
Tl Cd
3 1
direct
0.750 0.250 0.500
0.250 0.750 0.500
0.500 0.500 0.000
0.000 0.000 0.000


# 7
Tl3Cd r²SCAN optimized geometry; formation energy = 0.07 eV per atom; volume = 28.29 Å³/atom; calculated density = 10.6 Mg/m³; total DFT energy (no corrections) = -44.84 eV per atom
1.0
-3.880 -1.215 2.620
1.998 -4.298 0.966
2.085 1.857 3.950
Tl Cd
3 1
direct
0.000 0.500 0.500
0.500 0.000 0.500
0.500 0.500 0.000
0.000 0.000 0.000


# 8
Yb2TlCd r²SCAN optimized geometry; formation energy = -0.39 eV per atom; volume = 24.93 Å³/atom; calculated density = 11.0 Mg/m³; total DFT energy (no corrections) = -36.97 eV per atom
1.0
0.000 3.681 3.681
3.681 0.000 3.681
3.681 3.681 0.000
Yb Tl Cd
2 1 1
direct
0.250 0.250 0.250
0.750 0.750 0.750
0.000 0.000 0.000
0.500 0.500 0.500